First-principles (GGA-PBE) data for Rh2S3 after structural relaxation, as listed in the Materials Project. Values from VASP.

Structure (Quantum ESPRESSO input):
```
&SYSTEM
  ibrav = 0, nat = 20, ntyp = 2
/
ATOMIC_SPECIES
S 32.06 S.upf
Rh 102.91 Rh.upf
ATOMIC_POSITIONS crystal
S 0.6096 0.6067 0.8489
S 0.5465 0.7500 0.5000
S 0.8904 0.1067 0.6511
S 0.0465 0.7500 0.0000
S 0.1096 0.6067 0.6511
S 0.6096 0.8933 0.1511
S 0.3904 0.3933 0.1511
S 0.8904 0.3933 0.3489
S 0.9535 0.2500 0.0000
S 0.4535 0.2500 0.5000
S 0.3904 0.1067 0.8489
S 0.1096 0.8933 0.3489
Rh 0.7485 0.5321 0.1071
Rh 0.2515 0.0321 0.1071
Rh 0.2485 0.5321 0.3929
Rh 0.2485 0.9679 0.6071
Rh 0.2515 0.4679 0.8929
Rh 0.7485 0.9679 0.8929
Rh 0.7515 0.0321 0.3929
Rh 0.7515 0.4679 0.6071
CELL_PARAMETERS angstrom
6.0546 0.0000 0.0000
0.0000 6.2002 0.0000
0.0000 0.0000 8.5617
```

- SG = Pbcn (60)
- E (Ha/atom) = -0.21638
- calculated density (g/cm³) = 6.24

---

First-principles (GGA-PBE) data for Rh3S4 after structural relaxation, as listed in the Materials Project. Values from VASP.

Structure (Quantum ESPRESSO input):
```
&SYSTEM
  ibrav = 0, nat = 21, ntyp = 2
/
ATOMIC_SPECIES
Rh 102.91 Rh.upf
S 32.06 S.upf
ATOMIC_POSITIONS crystal
Rh 0.0000 0.0000 0.5000
Rh 0.8391 0.1609 0.0000
Rh 0.1609 0.8391 0.0000
Rh 0.6500 0.6500 0.0524
Rh 0.5084 0.2158 0.5494
Rh 0.4916 0.7842 0.4506
Rh 0.3500 0.3500 0.9476
Rh 0.7842 0.4916 0.4506
Rh 0.2158 0.5084 0.5494
S 0.2838 0.9670 0.6143
S 0.8827 0.8827 0.8883
S 0.4406 0.8588 0.1008
S 0.0330 0.7162 0.3857
S 0.1412 0.5594 0.8992
S 0.1173 0.1173 0.1117
S 0.9670 0.2838 0.6143
S 0.5594 0.1412 0.8992
S 0.5841 0.5841 0.7265
S 0.8588 0.4406 0.1008
S 0.4159 0.4159 0.2735
S 0.7162 0.0330 0.3857
CELL_PARAMETERS angstrom
5.4508 5.2428 0.0000
-5.4508 5.2428 0.0000
0.0000 1.9427 6.0132
```

- SG = C2/m (12)
- E (Ha/atom) = -0.22022
- calculated density (g/cm³) = 6.33

---

First-principles (GGA-PBE) data for RhS2 after structural relaxation, as listed in the Materials Project. Values from VASP.

Structure (Quantum ESPRESSO input):
```
&SYSTEM
  ibrav = 0, nat = 12, ntyp = 2
/
ATOMIC_SPECIES
Rh 102.91 Rh.upf
S 32.06 S.upf
ATOMIC_POSITIONS crystal
Rh 0.5000 0.5000 0.0000
Rh 0.0000 0.5000 0.5000
Rh 0.5000 0.0000 0.5000
Rh 0.0000 0.0000 0.0000
S 0.1091 0.8909 0.3909
S 0.3909 0.3909 0.3909
S 0.8909 0.3909 0.1091
S 0.6091 0.6091 0.6091
S 0.8909 0.1091 0.6091
S 0.1091 0.6091 0.8909
S 0.6091 0.8909 0.1091
S 0.3909 0.1091 0.8909
CELL_PARAMETERS angstrom
-1.3186 -3.8305 4.1125
5.6185 -0.7976 1.0586
-0.1342 4.2445 3.9104
```

- SG = Pa-3 (205)
- E (Ha/atom) = -0.20493
- calculated density (g/cm³) = 5.77

---

First-principles (GGA-PBE) data for SbRhS after structural relaxation, as listed in the Materials Project. Values from VASP.

Structure (Quantum ESPRESSO input):
```
&SYSTEM
  ibrav = 0, nat = 12, ntyp = 3
/
ATOMIC_SPECIES
Sb 121.76 Sb.upf
Rh 102.91 Rh.upf
S 32.06 S.upf
ATOMIC_POSITIONS crystal
Sb 0.3787 0.1213 0.8787
Sb 0.1213 0.8787 0.3787
Sb 0.8787 0.3787 0.1213
Sb 0.6213 0.6213 0.6213
Rh 0.0127 0.4873 0.5127
Rh 0.5127 0.0127 0.4873
Rh 0.9873 0.9873 0.9873
Rh 0.4873 0.5127 0.0127
S 0.6177 0.8823 0.1177
S 0.1177 0.6177 0.8823
S 0.3823 0.3823 0.3823
S 0.8823 0.1177 0.6177
CELL_PARAMETERS angstrom
-3.2766 -1.4501 -4.9386
5.0025 0.4806 -3.4601
1.2113 -5.9072 0.9308
```

- SG = P2_13 (198)
- E (Ha/atom) = -0.21229
- calculated density (g/cm³) = 7.51

---

First-principles (GGA-PBE) data for Tl2Rh3S2 after structural relaxation, as listed in the Materials Project. Values from VASP.

Structure (Quantum ESPRESSO input):
```
&SYSTEM
  ibrav = 0, nat = 7, ntyp = 3
/
ATOMIC_SPECIES
S 32.06 S.upf
Rh 102.91 Rh.upf
Tl 204.38 Tl.upf
ATOMIC_POSITIONS crystal
S 0.7206 0.7206 0.8382
S 0.2794 0.2794 0.1618
Rh 0.5000 0.0000 0.5000
Rh 0.0000 0.5000 0.5000
Rh 0.0000 0.0000 0.5000
Tl 0.0000 0.0000 0.0000
Tl 0.5000 0.5000 0.5000
CELL_PARAMETERS angstrom
1.6456 2.8783 -4.7059
1.6456 -2.8783 -4.7059
-3.3889 0.0000 -4.7059
```

- SG = R-3m (166)
- E (Ha/atom) = -0.19567
- calculated density (g/cm³) = 9.52

---

First-principles (GGA-PBE) data for URhS3 after structural relaxation, as listed in the Materials Project. Values from VASP.

Structure (Quantum ESPRESSO input):
```
&SYSTEM
  ibrav = 0, nat = 20, ntyp = 3
/
ATOMIC_SPECIES
S 32.06 S.upf
U 238.03 U.upf
Rh 102.91 Rh.upf
ATOMIC_POSITIONS crystal
S 0.6653 0.4429 0.7500
S 0.3434 0.8209 0.5543
S 0.1653 0.0571 0.2500
S 0.8434 0.6791 0.4457
S 0.1566 0.3209 0.5543
S 0.6566 0.1791 0.4457
S 0.1566 0.3209 0.9457
S 0.8434 0.6791 0.0543
S 0.3434 0.8209 0.9457
S 0.8347 0.9429 0.7500
S 0.6566 0.1791 0.0543
S 0.3347 0.5571 0.2500
U 0.5661 0.8746 0.2500
U 0.0660 0.6254 0.7500
U 0.9340 0.3746 0.2500
U 0.4340 0.1254 0.7500
Rh 0.0000 0.0000 0.5000
Rh 0.5000 0.5000 0.0000
Rh 0.0000 0.0000 0.0000
Rh 0.5000 0.5000 0.5000
CELL_PARAMETERS angstrom
6.0835 0.0000 0.0000
0.0000 7.1061 0.0000
0.0000 0.0000 8.4510
```

- SG = Pnma (62)
- E (Ha/atom) = -0.26568
- calculated density (g/cm³) = 7.95

---

First-principles (GGA-PBE) data for U6Rh2S15 after structural relaxation, as listed in the Materials Project. Values from VASP.

Structure (Quantum ESPRESSO input):
```
&SYSTEM
  ibrav = 0, nat = 46, ntyp = 3
/
ATOMIC_SPECIES
U 238.03 U.upf
S 32.06 S.upf
Rh 102.91 Rh.upf
ATOMIC_POSITIONS crystal
U 0.2951 0.0000 0.7049
U 0.7049 0.7049 0.4098
U 0.0000 0.7049 0.2951
U 0.5902 0.2951 0.2951
U 0.2951 0.7049 0.0000
U 0.7049 0.0000 0.2951
U 0.7049 0.2951 0.0000
U 0.2951 0.5902 0.2951
U 0.0000 0.2951 0.7049
U 0.4098 0.7049 0.7049
U 0.2951 0.2951 0.5902
U 0.7049 0.4098 0.7049
S 0.5615 0.5615 0.7449
S 0.4385 0.2551 0.4385
S 0.0000 0.5615 0.8166
S 0.1834 0.0000 0.4385
S 0.2500 0.7500 0.5000
S 0.5615 0.8166 0.0000
S 0.5000 0.2500 0.7500
S 0.4385 0.0000 0.1834
S 0.2551 0.4385 0.4385
S 0.1834 0.7449 0.1834
S 0.8166 0.8166 0.2551
S 0.0000 0.1834 0.4385
S 0.5000 0.7500 0.2500
S 0.5615 0.7449 0.5615
S 0.2500 0.5000 0.7500
S 0.4385 0.1834 0.0000
S 0.7449 0.1834 0.1834
S 0.8166 0.0000 0.5615
S 0.8166 0.5615 0.0000
S 0.7500 0.2500 0.5000
S 0.1834 0.4385 0.0000
S 0.5615 0.0000 0.8166
S 0.0000 0.4385 0.1834
S 0.7449 0.5615 0.5615
S 0.1834 0.1834 0.7449
S 0.2551 0.8166 0.8166
S 0.0000 0.8166 0.5615
S 0.7500 0.5000 0.2500
S 0.8166 0.2551 0.8166
S 0.4385 0.4385 0.2551
Rh 0.5000 0.5000 0.5000
Rh 0.5000 0.0000 0.0000
Rh 0.0000 0.0000 0.5000
Rh 0.0000 0.5000 0.0000
CELL_PARAMETERS angstrom
-7.6401 -8.0062 2.2003
4.1809 3.9757 9.6967
-4.9004 8.4075 -5.7107
```

- SG = Im-3m (229)
- E (Ha/atom) = -0.27767
- calculated density (g/cm³) = 6.35

---

First-principles (GGA-PBE) data for SbRh2 after structural relaxation, as listed in the Materials Project. Values from VASP.

Structure (Quantum ESPRESSO input):
```
&SYSTEM
  ibrav = 0, nat = 12, ntyp = 2
/
ATOMIC_SPECIES
Rh 102.91 Rh.upf
Sb 121.76 Sb.upf
ATOMIC_POSITIONS crystal
Rh 0.2500 0.8410 0.9304
Rh 0.7500 0.0391 0.6997
Rh 0.2500 0.3410 0.5696
Rh 0.2500 0.4609 0.1997
Rh 0.7500 0.5391 0.8003
Rh 0.7500 0.1590 0.0696
Rh 0.7500 0.6590 0.4304
Rh 0.2500 0.9609 0.3003
Sb 0.2500 0.7839 0.6076
Sb 0.2500 0.2839 0.8924
Sb 0.7500 0.7161 0.1076
Sb 0.7500 0.2161 0.3924
CELL_PARAMETERS angstrom
4.2228 0.0000 0.0000
0.0000 5.8472 0.0000
0.0000 0.0000 8.0516
```

- SG = Pnma (62)
- E (Ha/atom) = -0.24424
- calculated density (g/cm³) = 10.94

---

In eV/atom, the energy of formation from the pure elements values for the records above are, in order, -0.762, -0.760, -0.699, -0.734, -0.455, -1.318, -1.600, -0.360.